[1]
{"formula": "Li4H7RhS3O13", "functional": "PBE", "state": "optimized geometry", "polymorph_energy_ev_per_fu": 13.626, "spacegroup": "R3, No. 146", "total_energy_ry_per_atom": -0.3479, "cell": [[4.625, 2.671, 6.092], [-4.625, 2.671, 6.092], [0.000, -5.341, 6.092]], "species": ["Li", "Li", "Li", "Li", "H", "H", "H", "H", "H", "H", "H", "Rh", "S", "S", "S", "O", "O", "O", "O", "O", "O", "O", "O", "O", "O", "O", "O", "O"], "frac_coords": [[0.000, 0.000, 0.000], [0.482, 0.856, 0.713], [0.713, 0.482, 0.856], [0.856, 0.713, 0.482], [0.150, 0.667, 0.375], [0.188, 0.545, 0.561], [0.375, 0.150, 0.667], [0.545, 0.561, 0.188], [0.561, 0.188, 0.545], [0.667, 0.375, 0.150], [0.778, 0.778, 0.778], [0.322, 0.322, 0.322], [0.428, 0.738, 0.485], [0.485, 0.428, 0.738], [0.738, 0.485, 0.428], [0.140, 0.548, 0.464], [0.190, 0.943, 0.768], [0.264, 0.981, 0.874], [0.289, 0.515, 0.829], [0.464, 0.140, 0.548], [0.515, 0.829, 0.289], [0.548, 0.464, 0.140], [0.725, 0.725, 0.725], [0.768, 0.190, 0.943], [0.829, 0.289, 0.515], [0.874, 0.264, 0.981], [0.943, 0.768, 0.190], [0.981, 0.874, 0.264]]}

=====

[2]
{"formula": "Na3ScTi3Si3S3O24", "functional": "PBE", "state": "optimized geometry", "spacegroup": "P1, No. 1", "total_energy_ry_per_atom": -0.5323, "cell": [[8.803, 0.000, 0.000], [4.389, 7.659, 0.000], [0.014, 0.044, 22.670]], "species": ["Na", "Na", "Na", "Na", "Na", "Na", "Na", "Na", "Na", "Sc", "Sc", "Sc", "Ti", "Ti", "Ti", "Ti", "Ti", "Ti", "Ti", "Ti", "Ti", "Si", "Si", "Si", "Si", "Si", "Si", "Si", "Si", "Si", "S", "S", "S", "S", "S", "S", "S", "S", "S", "O", "O", "O", "O", "O", "O", "O", "O", "O", "O", "O", "O", "O", "O", "O", "O", "O", "O", "O", "O", "O", "O", "O", "O", "O", "O", "O", "O", "O", "O", "O", "O", "O", "O", "O", "O", "O", "O", "O", "O", "O", "O", "O", "O", "O", "O", "O", "O", "O", "O", "O", "O", "O", "O", "O", "O", "O", "O", "O", "O", "O", "O", "O", "O", "O", "O", "O", "O", "O", "O", "O", "O"], "frac_coords": [[0.000, 0.000, 0.000], [0.003, 0.993, 0.499], [0.033, 0.659, 0.085], [0.300, 0.666, 0.581], [0.332, 0.318, 0.666], [0.336, 0.320, 0.167], [0.666, 0.663, 0.332], [0.670, 0.658, 0.832], [0.965, 0.334, 0.916], [0.010, 0.001, 0.645], [0.012, 0.003, 0.150], [0.678, 0.649, 0.978], [0.029, 0.965, 0.350], [0.318, 0.336, 0.519], [0.322, 0.345, 0.813], [0.332, 0.339, 0.016], [0.332, 0.339, 0.309], [0.654, 0.681, 0.479], [0.687, 0.659, 0.190], [0.688, 0.660, 0.684], [0.984, 0.008, 0.853], [0.004, 0.289, 0.749], [0.007, 0.705, 0.247], [0.048, 0.627, 0.914], [0.303, 0.993, 0.249], [0.342, 0.611, 0.416], [0.386, 0.955, 0.583], [0.617, 0.328, 0.914], [0.955, 0.663, 0.579], [0.964, 0.363, 0.082], [0.046, 0.328, 0.415], [0.296, 0.704, 0.750], [0.338, 0.040, 0.914], [0.383, 0.659, 0.083], [0.625, 0.043, 0.416], [0.665, 0.954, 0.082], [0.670, 0.374, 0.581], [0.710, 0.996, 0.749], [0.713, 0.284, 0.250], [0.027, 0.171, 0.409], [0.037, 0.168, 0.693], [0.037, 0.814, 0.905], [0.039, 0.777, 0.187], [0.131, 0.355, 0.363], [0.142, 0.489, 0.860], [0.154, 0.487, 0.573], [0.158, 0.355, 0.074], [0.159, 0.297, 0.469], [0.165, 0.807, 0.409], [0.171, 0.526, 0.973], [0.174, 0.509, 0.260], [0.175, 0.026, 0.909], [0.180, 0.036, 0.193], [0.180, 0.305, 0.760], [0.191, 0.773, 0.695], [0.199, 0.962, 0.586], [0.201, 0.809, 0.087], [0.201, 0.963, 0.307], [0.210, 0.813, 0.802], [0.302, 0.152, 0.968], [0.311, 0.519, 0.475], [0.314, 0.525, 0.756], [0.325, 0.163, 0.263], [0.364, 0.498, 0.077], [0.365, 0.121, 0.861], [0.365, 0.488, 0.359], [0.369, 0.144, 0.571], [0.457, 0.689, 0.029], [0.472, 0.684, 0.743], [0.477, 0.823, 0.526], [0.490, 0.632, 0.135], [0.491, 0.867, 0.921], [0.492, 0.815, 0.239], [0.500, 0.346, 0.857], [0.508, 0.129, 0.076], [0.508, 0.359, 0.575], [0.511, 0.849, 0.640], [0.515, 0.633, 0.424], [0.517, 0.117, 0.362], [0.530, 0.292, 0.973], [0.535, 0.151, 0.757], [0.535, 0.303, 0.257], [0.541, 0.147, 0.469], [0.636, 0.485, 0.635], [0.638, 0.871, 0.136], [0.645, 0.862, 0.422], [0.648, 0.493, 0.918], [0.692, 0.462, 0.243], [0.695, 0.835, 0.744], [0.696, 0.845, 0.029], [0.698, 0.455, 0.528], [0.784, 0.180, 0.196], [0.789, 0.022, 0.696], [0.802, 0.024, 0.410], [0.819, 0.155, 0.907], [0.823, 0.199, 0.587], [0.823, 0.205, 0.303], [0.824, 0.964, 0.803], [0.825, 0.482, 0.742], [0.826, 0.967, 0.088], [0.832, 0.681, 0.243], [0.832, 0.681, 0.523], [0.851, 0.455, 0.023], [0.861, 0.636, 0.919], [0.863, 0.502, 0.138], [0.870, 0.624, 0.639], [0.873, 0.486, 0.423], [0.970, 0.829, 0.306], [0.978, 0.188, 0.808], [0.982, 0.173, 0.086], [0.986, 0.825, 0.587]]}

=====

[3]
{"formula": "Sr9U9O34", "functional": "PBE", "state": "optimized geometry", "spacegroup": "P1, No. 1", "total_energy_ry_per_atom": -0.6426, "cell": [[7.768, 0.000, 0.000], [1.468, 8.613, 0.000], [0.010, 2.782, 11.679]], "species": ["Sr", "Sr", "Sr", "Sr", "Sr", "Sr", "Sr", "Sr", "Sr", "U", "U", "U", "U", "U", "U", "U", "U", "U", "O", "O", "O", "O", "O", "O", "O", "O", "O", "O", "O", "O", "O", "O", "O", "O", "O", "O", "O", "O", "O", "O", "O", "O", "O", "O", "O", "O", "O", "O", "O", "O", "O", "O"], "frac_coords": [[0.000, 0.000, 0.000], [0.000, 0.004, 0.676], [0.334, 0.670, 0.557], [0.335, 0.674, 0.894], [0.336, 0.679, 0.228], [0.668, 0.338, 0.117], [0.670, 0.335, 0.446], [0.670, 0.349, 0.780], [0.999, 0.009, 0.336], [0.153, 0.349, 0.780], [0.173, 0.334, 0.458], [0.174, 0.334, 0.108], [0.502, 0.999, 0.013], [0.504, 0.999, 0.663], [0.507, 0.002, 0.339], [0.822, 0.680, 0.226], [0.833, 0.679, 0.561], [0.842, 0.674, 0.889], [0.012, 0.817, 0.539], [0.014, 0.810, 0.201], [0.024, 0.812, 0.867], [0.089, 0.478, 0.590], [0.089, 0.478, 0.928], [0.198, 0.265, 0.294], [0.277, 0.187, 0.674], [0.277, 0.187, 0.938], [0.313, 0.876, 0.360], [0.322, 0.857, 0.034], [0.325, 0.855, 0.689], [0.344, 0.485, 0.095], [0.344, 0.485, 0.420], [0.348, 0.478, 0.759], [0.419, 0.149, 0.150], [0.422, 0.145, 0.477], [0.532, 0.929, 0.850], [0.570, 0.862, 0.199], [0.573, 0.856, 0.525], [0.645, 0.534, 0.250], [0.656, 0.540, 0.922], [0.663, 0.528, 0.574], [0.670, 0.152, 0.649], [0.674, 0.149, 0.978], [0.686, 0.146, 0.313], [0.759, 0.822, 0.707], [0.761, 0.805, 0.029], [0.775, 0.806, 0.373], [0.893, 0.536, 0.750], [0.948, 0.515, 0.125], [0.949, 0.512, 0.379], [0.976, 0.203, 0.805], [0.998, 0.186, 0.488], [0.998, 0.188, 0.127]]}

=====

[4]
{"formula": "SrNdMgRuO6", "functional": "PBE", "state": "optimized geometry", "spacegroup": "Pc, No. 7", "total_energy_ry_per_atom": -0.5195, "cell": [[5.589, 0.000, 0.000], [0.000, 5.675, 0.000], [-5.549, 0.000, 7.909]], "species": ["Sr", "Sr", "Nd", "Nd", "Mg", "Mg", "Ru", "Ru", "O", "O", "O", "O", "O", "O", "O", "O", "O", "O", "O", "O"], "frac_coords": [[0.000, 0.219, 0.000], [0.000, 0.781, 0.500], [0.518, 0.302, 0.499], [0.518, 0.698, 0.999], [0.254, 0.243, 0.749], [0.254, 0.757, 0.249], [0.755, 0.248, 0.251], [0.755, 0.752, 0.751], [0.091, 0.235, 0.494], [0.091, 0.765, 0.994], [0.447, 0.275, 0.007], [0.447, 0.725, 0.507], [0.513, 0.051, 0.296], [0.513, 0.949, 0.796], [0.579, 0.478, 0.791], [0.579, 0.522, 0.291], [0.904, 0.039, 0.705], [0.904, 0.961, 0.205], [0.990, 0.467, 0.213], [0.990, 0.533, 0.713]]}

=====

Record order is preserved below.
ΔE_f: -0.9280; -2.7842; -3.7107; -2.7786 eV per atom